An optimized crystal structure of Li4Fe3P4O15, computed with GGA+U.

Output
Magnetization, μB/f.u.: 12.00
Final energy, eV/atom: -6.7795
E_form, eV/atom: -2.478

a = 17.6014 Å, b = 10.5712 Å, c = 6.5038 Å
α = 90.00°, β = 90.00°, γ = 90.00°
Last column: nearest neighbours and their distance in Å.
Sites, in units of the cell vectors:
Li: 0.0045 0.0191 0.0000  6 O 2.15-2.32
Li: 0.0343 0.4481 0.8790  3 O 2.14-2.25
Li: 0.0943 0.6809 0.6125  3 O 1.92-2.06
Li: 0.2054 0.2598 0.0349  6 O 2.24-2.48
Li: 0.2946 0.7598 0.5349  6 O 2.24-2.48
Li: 0.4057 0.1809 0.1125  3 O 1.92-2.06
Li: 0.4657 0.9481 0.3790  3 O 2.14-2.25
Li: 0.4955 0.5191 0.5000  6 O 2.15-2.32
Li: 0.5045 0.4809 0.0000  6 O 2.15-2.32
Li: 0.5343 0.0519 0.8790  3 O 2.14-2.25
Li: 0.5943 0.8191 0.6125  3 O 1.92-2.06
Li: 0.7054 0.2402 0.0349  6 O 2.24-2.48
Li: 0.7946 0.7402 0.5349  6 O 2.24-2.48
Li: 0.9057 0.3191 0.1125  3 O 1.92-2.06
Li: 0.9657 0.5519 0.3790  3 O 2.14-2.25
Li: 0.9955 0.9809 0.5000  6 O 2.15-2.32
Fe: 0.1357 0.0068 0.2678  5 O 2.03-2.24
Fe: 0.1644 0.4991 0.2804  5 O 2.05-2.22
Fe: 0.2397 0.7576 0.0023  5 O 2.06-2.18
Fe: 0.2603 0.2576 0.5023  5 O 2.06-2.18
Fe: 0.3356 0.9991 0.7804  5 O 2.05-2.22
Fe: 0.3643 0.5068 0.7678  5 O 2.03-2.24
Fe: 0.6357 0.4932 0.2678  5 O 2.03-2.24
Fe: 0.6644 0.0009 0.2804  5 O 2.05-2.22
Fe: 0.7397 0.7424 0.0023  5 O 2.06-2.18
Fe: 0.7603 0.2424 0.5023  5 O 2.06-2.18
Fe: 0.8356 0.5009 0.7804  5 O 2.05-2.22
Fe: 0.8643 0.9932 0.7678  5 O 2.03-2.24
P: 0.0502 0.2743 0.3116  4 O 1.52-1.64
P: 0.0598 0.7449 0.1370  4 O 1.53-1.64
P: 0.1719 0.0169 0.7620  4 O 1.53-1.59
P: 0.2026 0.4950 0.7746  4 O 1.54-1.57
P: 0.2974 0.9950 0.2746  4 O 1.54-1.57
P: 0.3281 0.5169 0.2620  4 O 1.53-1.59
P: 0.4402 0.2449 0.6370  4 O 1.53-1.64
P: 0.4498 0.7743 0.8116  4 O 1.52-1.64
P: 0.5502 0.2257 0.3116  4 O 1.52-1.64
P: 0.5598 0.7551 0.1370  4 O 1.53-1.64
P: 0.6719 0.4831 0.7620  4 O 1.53-1.59
P: 0.7026 0.0050 0.7746  4 O 1.54-1.57
P: 0.7974 0.5050 0.2746  4 O 1.54-1.57
P: 0.8281 0.9831 0.2620  4 O 1.53-1.59
P: 0.9402 0.2551 0.6370  4 O 1.53-1.64
P: 0.9498 0.7257 0.8116  4 O 1.52-1.64
O: 0.0078 0.3704 0.1755  1 P 1.54
O: 0.0218 0.3053 0.5471  2 P 1.64
O: 0.0317 0.1362 0.2671  1 P 1.52
O: 0.0440 0.8752 0.2294  1 P 1.53
O: 0.0769 0.6455 0.3052  1 P 1.55
O: 0.1169 0.7418 0.9606  1 P 1.53
O: 0.1189 0.0024 0.5765  1 P 1.53
O: 0.1248 0.0420 0.9572  1 P 1.54
O: 0.1359 0.3024 0.3152  1 P 1.54
O: 0.1486 0.5149 0.5920  1 P 1.54
O: 0.1517 0.4649 0.9626  1 P 1.55
O: 0.2252 0.8975 0.7763  1 P 1.57
O: 0.2306 0.1300 0.7424  1 P 1.59
O: 0.2391 0.8847 0.2491  1 P 1.56
O: 0.2451 0.1146 0.2903  1 P 1.57
O: 0.2549 0.6146 0.7903  1 P 1.57
O: 0.2609 0.3847 0.7491  1 P 1.56
O: 0.2694 0.6300 0.2424  1 P 1.59
O: 0.2748 0.3975 0.2763  1 P 1.57
O: 0.3483 0.9649 0.4626  1 P 1.55
O: 0.3514 0.0149 0.0920  1 P 1.54
O: 0.3641 0.8024 0.8152  1 P 1.54
O: 0.3752 0.5420 0.4572  1 P 1.54
O: 0.3811 0.5024 0.0765  1 P 1.53
O: 0.3831 0.2418 0.4606  1 P 1.53
O: 0.4231 0.1455 0.8052  1 P 1.55
O: 0.4560 0.3752 0.7294  1 P 1.53
O: 0.4683 0.6362 0.7671  1 P 1.52
O: 0.4782 0.8053 0.0471  2 P 1.64
O: 0.4922 0.8704 0.6755  1 P 1.54
O: 0.5078 0.1296 0.1755  1 P 1.54
O: 0.5218 0.1947 0.5471  2 P 1.64
O: 0.5317 0.3638 0.2671  1 P 1.52
O: 0.5440 0.6248 0.2294  1 P 1.53
O: 0.5769 0.8545 0.3052  1 P 1.55
O: 0.6169 0.7582 0.9606  1 P 1.53
O: 0.6189 0.4976 0.5765  1 P 1.53
O: 0.6248 0.4580 0.9572  1 P 1.54
O: 0.6359 0.1976 0.3152  1 P 1.54
O: 0.6486 0.9851 0.5920  1 P 1.54
O: 0.6517 0.0351 0.9626  1 P 1.55
O: 0.7252 0.6025 0.7763  1 P 1.57
O: 0.7306 0.3700 0.7424  1 P 1.59
O: 0.7391 0.6153 0.2491  1 P 1.56
O: 0.7451 0.3854 0.2903  1 P 1.57
O: 0.7549 0.8854 0.7903  1 P 1.57
O: 0.7609 0.1153 0.7491  1 P 1.56
O: 0.7694 0.8700 0.2424  1 P 1.59
O: 0.7748 0.1025 0.2763  1 P 1.57
O: 0.8483 0.5351 0.4626  1 P 1.55
O: 0.8514 0.4851 0.0920  1 P 1.54
O: 0.8641 0.6976 0.8152  1 P 1.54
O: 0.8752 0.9580 0.4572  1 P 1.54
O: 0.8811 0.9976 0.0765  1 P 1.53
O: 0.8831 0.2582 0.4606  1 P 1.53
O: 0.9231 0.3545 0.8052  1 P 1.55
O: 0.9560 0.1248 0.7294  1 P 1.53
O: 0.9683 0.8638 0.7671  1 P 1.52
O: 0.9782 0.6947 0.0471  2 P 1.64
O: 0.9922 0.6296 0.6755  1 P 1.54

An optimized crystal structure of LiFePO4, computed with GGA+U.

Output
Magnetization, μB/f.u.: 0.00
E above lowest polymorph, eV per atom: 0.096
Final energy, eV/atom: -6.7531
E_form, eV/atom: -2.385

a = 7.9187 Å, b = 8.3700 Å, c = 5.3445 Å
α = 90.00°, β = 90.00°, γ = 90.00°
Last column: nearest neighbours and their distance in Å.
Sites, in units of the cell vectors:
Li: 0.0206 0.2058 0.0000  2 O 1.92-1.97
Li: 0.4794 0.7058 0.5000  2 O 1.92-1.97
Li: 0.5206 0.2942 0.0000  2 O 1.92-1.97
Li: 0.9794 0.7942 0.5000  2 O 1.92-1.97
Fe: 0.1788 0.5603 0.1347  4 O 2.05-2.09
Fe: 0.3212 0.0603 0.6347  4 O 2.05-2.09
Fe: 0.6788 0.9397 0.1347  4 O 2.05-2.09
Fe: 0.8212 0.4397 0.6347  4 O 2.05-2.09
P: 0.2462 0.4348 0.6624  4 O 1.53-1.59
P: 0.2538 0.9348 0.1624  4 O 1.53-1.59
P: 0.7462 0.0652 0.6624  4 O 1.53-1.59
P: 0.7538 0.5652 0.1624  4 O 1.53-1.59
O: 0.0612 0.4211 0.7751  1 P 1.59
O: 0.1449 0.9507 0.4052  1 P 1.56
O: 0.2083 0.7898 0.0017  1 P 1.53
O: 0.2370 0.0895 0.0027  1 P 1.56
O: 0.2630 0.5895 0.5027  1 P 1.56
O: 0.2917 0.2898 0.5017  1 P 1.53
O: 0.3551 0.4507 0.9052  1 P 1.56
O: 0.4388 0.9211 0.2751  1 P 1.59
O: 0.5612 0.0789 0.7751  1 P 1.59
O: 0.6449 0.5493 0.4052  1 P 1.56
O: 0.7083 0.7102 0.0017  1 P 1.53
O: 0.7370 0.4105 0.0027  1 P 1.56
O: 0.7630 0.9105 0.5027  1 P 1.56
O: 0.7917 0.2102 0.5017  1 P 1.53
O: 0.8551 0.0493 0.9052  1 P 1.56
O: 0.9388 0.5789 0.2751  1 P 1.59

An optimized crystal structure of LiFePO4, computed with GGA+U.

Output
Magnetization, μB/f.u.: 0.00
E above lowest polymorph, eV per atom: 0.024
Final energy, eV/atom: -6.8251
Largest piezoelectric modulus, C/m²: 0.564
E_form, eV/atom: -2.456

a = 4.9446 Å, b = 7.2890 Å, c = 9.9348 Å
α = 90.00°, β = 89.48°, γ = 89.99°
Last column: nearest neighbours and their distance in Å.
Sites, in units of the cell vectors:
Li: 0.5001 0.0006 0.2500  4 O 2.03-2.04
Li: 0.4998 0.0007 0.7500  4 O 2.03-2.04
Li: 0.9999 0.5004 0.4999  4 O 2.03-2.04
Li: 0.0001 0.5006 0.0000  4 O 2.03-2.04
Fe: 0.0000 0.0000 0.5002  4 O 2.05
Fe: 0.5003 0.5007 0.2498  4 O 2.05
Fe: 0.0001 0.0003 0.0001  4 O 2.05
Fe: 0.4999 0.5006 0.7499  4 O 2.05
P: 0.4999 0.2498 0.4999  4 O 1.56
P: 0.5002 0.2497 0.0000  4 O 1.56
P: 0.9997 0.7497 0.7500  4 O 1.56
P: 0.0002 0.7498 0.2500  4 O 1.56
O: 0.3177 0.1282 0.0924  1 P 1.56
O: 0.3176 0.1280 0.5921  1 P 1.56
O: 0.8179 0.6281 0.3423  1 P 1.56
O: 0.8176 0.6282 0.8425  1 P 1.56
O: 0.3171 0.3717 0.4097  1 P 1.56
O: 0.3171 0.3715 0.9099  1 P 1.56
O: 0.8160 0.8714 0.6600  1 P 1.56
O: 0.8170 0.8715 0.1599  1 P 1.56
O: 0.6823 0.1278 0.4079  1 P 1.56
O: 0.6824 0.1280 0.9077  1 P 1.56
O: 0.1821 0.6284 0.6576  1 P 1.56
O: 0.1824 0.6282 0.1577  1 P 1.56
O: 0.6828 0.3716 0.5901  1 P 1.56
O: 0.6835 0.3714 0.0901  1 P 1.56
O: 0.1830 0.8716 0.8400  1 P 1.56
O: 0.1834 0.8716 0.3402  1 P 1.56

An optimized crystal structure of Li2FeP2O7, computed with GGA+U.

Output
Magnetization, μB/f.u.: 0.00
E above lowest polymorph, eV per atom: 0.001
Final energy, eV/atom: -6.7935
E_form, eV/atom: -2.570

a = 5.0408 Å, b = 14.2972 Å, c = 8.9338 Å
α = 80.41°, β = 90.01°, γ = 89.99°
Last column: nearest neighbours and their distance in Å.
Sites, in units of the cell vectors:
Li: 0.1078 0.9404 0.6119  4 O 1.93-2.00
Li: 0.6073 0.4403 0.1121  4 O 1.93-2.00
Li: 0.3922 0.5596 0.8880  4 O 1.93-2.00
Li: 0.8927 0.0597 0.3879  4 O 1.93-2.00
Li: 0.6079 0.0596 0.8881  4 O 1.93-2.00
Li: 0.1073 0.5597 0.3879  4 O 1.93-2.00
Li: 0.8922 0.4404 0.6119  4 O 1.93-2.00
Li: 0.3928 0.9403 0.1121  4 O 1.93-2.00
Fe: 0.2500 0.7500 0.2500  4 O 2.02-2.04
Fe: 0.7500 0.2500 0.2500  4 O 2.02-2.04
Fe: 0.7498 0.2500 0.7499  4 O 2.03
Fe: 0.2500 0.7500 0.7501  4 O 2.03
P: 0.1155 0.1470 0.0371  4 O 1.51-1.64
P: 0.6150 0.6471 0.5374  4 O 1.51-1.64
P: 0.3851 0.1470 0.5373  4 O 1.51-1.64
P: 0.8846 0.6470 0.0372  4 O 1.51-1.65
P: 0.3845 0.3530 0.4628  4 O 1.51-1.64
P: 0.8850 0.8529 0.9626  4 O 1.51-1.65
P: 0.1149 0.3529 0.9627  4 O 1.51-1.64
P: 0.6155 0.8530 0.4628  4 O 1.51-1.65
O: 0.2322 0.2499 0.5001  2 P 1.64
O: 0.7321 0.7500 0.9999  2 P 1.65
O: 0.2678 0.2500 0.9999  2 P 1.64
O: 0.7679 0.7499 0.5001  2 P 1.64-1.65
O: 0.9791 0.3558 0.8071  1 P 1.54
O: 0.4795 0.8558 0.3072  1 P 1.54
O: 0.5210 0.1442 0.6929  1 P 1.54
O: 0.0206 0.6442 0.1928  1 P 1.54
O: 0.9794 0.1442 0.1927  1 P 1.54
O: 0.4795 0.6443 0.6931  1 P 1.54
O: 0.5206 0.3558 0.3073  1 P 1.54
O: 0.0205 0.8558 0.8069  1 P 1.54
O: 0.3278 0.4271 0.9613  1 P 1.51
O: 0.8288 0.9270 0.4612  1 P 1.51
O: 0.3290 0.0730 0.0389  1 P 1.51
O: 0.8278 0.5729 0.5387  1 P 1.51
O: 0.1710 0.4270 0.4611  1 P 1.51
O: 0.6721 0.9271 0.9614  1 P 1.51
O: 0.1722 0.0729 0.5387  1 P 1.51
O: 0.6712 0.5730 0.0388  1 P 1.51
O: 0.0937 0.8518 0.0894  1 P 1.54
O: 0.5927 0.3520 0.5898  1 P 1.54
O: 0.4063 0.6482 0.4106  1 P 1.54
O: 0.9073 0.1481 0.9102  1 P 1.54
O: 0.4071 0.8519 0.5897  1 P 1.54
O: 0.9065 0.3518 0.0896  1 P 1.54
O: 0.0929 0.6481 0.9104  1 P 1.54
O: 0.5935 0.1482 0.4104  1 P 1.54

Look up the magnetization of the third one. 0.00 μB/f.u.

Which formula does entry 2 have? LiFePO4

Look up the magnetization of the fourth one. 0.00 μB/f.u.